## A
Entry from Materials Project: a geometry-optimized ThSe2O6 structure (PBE-GGA).

abc: 7.2969 11.2948 6.7570
angles: 90.00 90.00 90.00
Last column: nearest neighbours and their distance in Å.
Space group Pna2_1 (No. 33)
Asymmetric unit:
Th1 0.1474 0.1458 0.0000 x4  7 O 2.33-2.56
Se1 0.0482 0.8163 0.0112 x4  3 O 1.73-1.74
Se2 0.1456 0.4580 0.0541 x4  3 O 1.71-1.77
O1 0.0316 0.6407 0.6017 x4  1 Se 1.74
O2 0.0704 0.9564 0.1160 x4  1 Se 1.74
O3 0.0719 0.2501 0.7025 x4  1 Se 1.73
O4 0.1255 0.1585 0.3427 x4  1 Se 1.73
O5 0.1887 0.8451 0.5268 x4  1 Se 1.77
O6 0.1930 0.5120 0.2843 x4  1 Se 1.71

***

## B
Entry from Materials Project: a geometry-optimized ThSe2O6 structure (PBE-GGA).

abc: 7.2773 10.9419 8.7541
angles: 90.00 124.87 90.00
Last column: nearest neighbours and their distance in Å.
Space group P2_1/c (No. 14)
Asymmetric unit:
Th1 0.2451 0.0984 0.4830 x4  8 O 2.34-2.61
Se1 0.1971 0.7148 0.9357 x4  3 O 1.71-1.76
Se2 0.2886 0.0648 0.0624 x4  3 O 1.73-1.74
O1 0.0137 0.6013 0.9176 x4  1 Se 1.76
O2 0.0629 0.7388 0.2100 x4  1 Se 1.71
O3 0.1673 0.0909 0.1825 x4  1 Se 1.74
O4 0.3839 0.6045 0.9548 x4  1 Se 1.75
O5 0.4056 0.2079 0.0886 x4  1 Se 1.73
O6 0.4755 0.0226 0.7882 x4  1 Se 1.73

***

Most stable of them? B.

***

## A
Entry from Materials Project: a geometry-optimized SiO4 structure (PBE-GGA).

abc: 4.9958 5.0828 10.7449
angles: 100.11 92.52 119.35
Last column: nearest neighbours and their distance in Å.
Space group P1 (No. 1)
Asymmetric unit:
Si1 0.0000 0.0000 0.0000 x1  2 O 1.56-1.65
Si2 0.1514 0.3904 0.3495 x1  3 O 1.58-1.65
Si3 0.7710 0.4496 0.4593 x1  5 O 1.65-1.75
O1 0.0950 0.3832 0.1765 x1  2 O 1.49
O2 0.1172 0.6896 0.4135 x1  2 Si 1.65-1.71
O3 0.1609 0.4301 0.7209 x1  1 O 1.22
O4 0.1631 0.4322 0.8343 x1  1 O 1.22
O5 0.3153 0.3248 0.1046 x1  1 O 1.49
O6 0.4599 0.3750 0.3653 x1  2 Si 1.58-1.65
O7 0.7084 0.3978 0.6123 x1  1 O 1.46
O8 0.7645 0.6976 0.5930 x1  1 O 1.46
O9 0.7961 0.1036 0.1094 x1  1 O 1.49
O10 0.8294 0.1452 0.3931 x1  2 Si 1.63-1.75
O11 0.9263 0.6601 0.9883 x1  1 Si 1.56
O12 0.9848 0.0600 0.8547 x1  1 Si 1.65, 1 O 1.71

***

## B
Entry from Materials Project: a geometry-optimized SiO4 structure (PBE-GGA).

abc: 4.9958 5.0828 10.7449
angles: 100.11 92.52 119.35
Last column: nearest neighbours and their distance in Å.
Space group P1 (No. 1)
Asymmetric unit:
Si1 0.0000 0.0000 0.0000 x1  2 O 1.55-1.57
Si2 0.1981 0.9591 0.6505 x1  2 O 1.39-1.52
Si3 0.5097 0.9494 0.1099 x1  1 O 1.50
O1 0.1165 0.1658 0.8270 x1  1 O 1.21
O2 0.1361 0.6309 0.6388 x1  1 Si 1.52
O3 0.2927 0.9688 0.0158 x1  2 Si 1.50-1.55
O4 0.2942 0.7445 0.2629 x1  1 O 1.53
O5 0.3282 0.1644 0.5052 x1  1 O 1.80, 1 Si 1.99
O6 0.3696 0.0637 0.2435 x1  1 O 1.53
O7 0.4088 0.1793 0.7552 x1  1 Si 1.39
O8 0.5268 0.5569 0.4849 x1  1 O 1.45
O9 0.6343 0.7111 0.0437 x1  2 Si 1.68-1.84
O10 0.6381 0.6683 0.3714 x1  1 O 1.45
O11 0.8848 0.9532 0.7600 x1  1 O 1.21
O12 0.9018 0.2352 0.0640 x1  1 Si 1.57

***

Most stable of them? A.

***

## A
Entry from Materials Project: a geometry-optimized Sm2SiTeO4 structure (PBE-GGA).

abc: 6.2839 7.1766 11.2176
angles: 90.00 90.00 90.00
Last column: nearest neighbours and their distance in Å.
Space group Pbcm (No. 57)
Asymmetric unit:
Sm1 0.1119 0.2500 0.0000 x4  6 O 2.48-2.51
Sm2 0.3875 0.5367 0.2500 x4  6 O 2.46-2.62
Si1 0.3857 0.7500 0.0000 x4  4 O 1.65-1.67
Te1 0.0953 0.5844 0.7500 x4  5 Sm 3.16-3.36, 8 O 3.31-3.53
O1 0.2286 0.5749 0.0353 x8  1 Si 1.65
O2 0.4501 0.2328 0.6162 x8  1 Si 1.67

***

## B
Entry from Materials Project: a geometry-optimized Sm2SiTeO4 structure (PBE-GGA).

abc: 9.8936 6.3948 8.7040
angles: 90.00 95.49 90.00
Last column: nearest neighbours and their distance in Å.
Space group P2_1/c (No. 14)
Asymmetric unit:
Sm1 0.1080 0.1539 0.1954 x4  5 O 2.32-2.52
Sm2 0.3452 0.6961 0.3362 x4  4 O 2.47-2.53
Si1 0.1249 0.6910 0.0561 x4  4 O 1.63-1.66
Te1 0.4113 0.2139 0.3798 x4  5 Sm 3.17-3.39, 2 O 3.43-3.50
O1 0.0220 0.1962 0.9232 x4  1 Si 1.65
O2 0.1249 0.6342 0.8728 x4  1 Si 1.64
O3 0.1605 0.5070 0.1828 x4  1 Si 1.63
O4 0.2475 0.6341 0.5910 x4  1 Si 1.66

***

Most stable of them? A.

***

## A
Entry from Materials Project: a geometry-optimized TiZnSi2O6 structure (PBE-GGA).

abc: 10.0380 9.1826 5.2942
angles: 90.00 108.54 90.00
Last column: nearest neighbours and their distance in Å.
Space group C2/c (No. 15)
Asymmetric unit:
Ti1 0.0000 0.0824 0.2500 x4  6 O 2.13-2.23
Zn1 0.0000 0.2585 0.7500 x4  4 O 1.99-2.12
Si1 0.1980 0.4100 0.2339 x8  4 O 1.63-1.66
O1 0.1168 0.2572 0.1320 x8  1 Si 1.63
O2 0.1280 0.0964 0.6567 x8  1 Si 1.66
O3 0.1486 0.4762 0.4792 x8  2 Si 1.65

***

## B
Entry from Materials Project: a geometry-optimized TiZnSi2O6 structure (PBE-GGA).

abc: 5.3050 18.6374 9.1514
angles: 90.00 90.00 90.00
Last column: nearest neighbours and their distance in Å.
Space group Pbca (No. 61)
Asymmetric unit:
Ti1 0.1387 0.1213 0.0223 x8  4 O 2.10-2.23
Zn1 0.1219 0.1248 0.6502 x8  6 O 2.07-2.26
Si1 0.0541 0.7309 0.1608 x8  4 O 1.62-1.68
Si2 0.2029 0.0254 0.3353 x8  4 O 1.62-1.69
O1 0.0433 0.6813 0.6607 x8  1 Si 1.64
O2 0.0538 0.6920 0.0029 x8  1 Si 1.62
O3 0.0958 0.5513 0.2019 x8  2 Si 1.69
O4 0.1714 0.2002 0.2290 x8  2 Si 1.67-1.68
O5 0.2070 0.5660 0.4825 x8  1 Si 1.62
O6 0.2123 0.5627 0.8393 x8  1 Si 1.64

***

Most stable of them? A.

***

## A
Entry from Materials Project: a geometry-optimized Y2SiO5 structure (PBE-GGA).

abc: 14.5643 6.8354 10.5570
angles: 90.00 122.13 90.00
Last column: nearest neighbours and their distance in Å.
Space group C2/c (No. 15)
Asymmetric unit:
Y1 0.0370 0.2443 0.4676 x8  6 O 2.22-2.40
Y2 0.1426 0.1180 0.8375 x8  6 O 2.23-2.32
Si1 0.1818 0.4099 0.3057 x8  4 O 1.63-1.66
O1 0.0167 0.0938 0.8958 x8  4 Y 2.22-2.40
O2 0.0907 0.4909 0.1376 x8  1 Si 1.65
O3 0.1206 0.2165 0.3242 x8  1 Si 1.66
O4 0.2012 0.4270 0.9320 x8  1 Si 1.64
O5 0.2030 0.1480 0.6763 x8  1 Si 1.63

***

## B
Entry from Materials Project: a geometry-optimized Y2SiO5 structure (PBE-GGA).

abc: 9.1905 6.8867 6.7762
angles: 90.00 100.68 90.00
Last column: nearest neighbours and their distance in Å.
Space group P2_1/c (No. 14)
Asymmetric unit:
Y1 0.0103 0.2220 0.1548 x4  5 O 2.24-2.37
Y2 0.3331 0.5463 0.5921 x4  5 O 2.21-2.39
Si1 0.2840 0.0212 0.6013 x4  4 O 1.64-1.66
O1 0.1021 0.5851 0.6329 x4  4 Y 2.21-2.34
O2 0.1288 0.5297 0.1834 x4  1 Si 1.66
O3 0.2333 0.2331 0.4931 x4  1 Si 1.66
O4 0.3229 0.6501 0.9507 x4  1 Si 1.64
O5 0.4214 0.0302 0.7951 x4  1 Si 1.65

***

Most stable of them? A.